This record from the Materials Project describes a relaxed LuMn2O5 crystal. The functional is meta-GGA r2SCAN.

It has space group Pbam (No. 55), with a = 7.0973 Å, b = 8.3641 Å, c = 5.6535 Å, α = 90.00°, β = 90.00° and γ = 90.00°. The inequivalent atoms are Lu at (0.1360, 0.1699, 0.0000), Mn at (0.0000, 0.5000, 0.2524), Mn at (0.0860, 0.8476, 0.5000), O at (0.0000, 0.0000, 0.2670), O at (0.1110, 0.7064, 0.2392), O at (0.1525, 0.4296, 0.5000) and O at (0.1661, 0.4402, 0.0000).

This record from the Materials Project describes a relaxed Lu6MnSb2 crystal. The functional is meta-GGA r2SCAN.

It has space group P-62m (No. 189), with a = 7.9224 Å, b = 7.9224 Å, c = 4.2475 Å, α = 90.00°, β = 90.00° and γ = 120.00°. The inequivalent atoms are Lu at (0.0000, 0.2369, 0.0000), Lu at (0.0000, 0.6041, 0.5000), Mn at (0.0000, 0.0000, 0.5000) and Sb at (0.3333, 0.6667, 0.0000).

This record from the Materials Project describes a relaxed Lu2MoO6 crystal. The functional is meta-GGA r2SCAN.

It has space group C2/c (No. 15), with a = 16.0813 Å, b = 10.7702 Å, c = 5.2186 Å, α = 90.00°, β = 108.55° and γ = 90.00°. The inequivalent atoms are Lu at (0.0000, 0.1053, 0.2500), Lu at (0.0000, 0.3615, 0.7500), Lu at (0.1656, 0.1161, 0.8760), Mo at (0.1555, 0.3610, 0.4362), O at (0.0706, 0.2331, 0.5801), O at (0.0792, 0.4705, 0.4873), O at (0.0910, 0.0204, 0.0793), O at (0.1056, 0.2801, 0.1223), O at (0.2290, 0.2948, 0.7458) and O at (0.2388, 0.4504, 0.3602).

| no. | uncorrected energy (eV per atom) |
| --- | --- |
| 1 | -14.95 |
| 2 | -33.38 |
| 3 | -18.62 |